(1)
GGA-PBE ZrMnCr, optimized geometry; magnetization = 0.009 μB/atom
1.0
8.1032 0.0000 0.0000
0.0000 2.5109 4.3771
0.0000 -2.5109 4.3771
Zr Mn Cr
4 4 4
direct
0.1860 0.0000 0.0000
0.3095 0.3334 0.3334
0.6905 0.3334 0.3334
0.8140 0.0000 0.0000
0.0000 0.0073 0.4956
0.0000 0.4956 0.0073
0.0000 0.4967 0.4967
0.5000 0.8339 0.8339
0.2405 0.6677 0.6677
0.5000 0.3320 0.8333
0.5000 0.8333 0.3320
0.7595 0.6677 0.6677

(2)
GGA-PBE Y4Ni13C4, optimized geometry; magnetization = 0.000 μB/atom
1.0
5.8722 -6.0310 0.0000
5.8722 6.0310 0.0000
0.0000 0.0000 3.8610
Y Ni C
4 13 4
direct
0.1879 0.8121 0.0000
0.3491 0.3491 0.0000
0.6509 0.6509 0.0000
0.8121 0.1879 0.0000
0.0000 0.0000 0.5000
0.0000 0.5000 0.0000
0.0743 0.2907 0.5000
0.1241 0.1241 0.0000
0.2159 0.5690 0.5000
0.2907 0.0743 0.5000
0.4310 0.7841 0.5000
0.5000 0.0000 0.0000
0.5690 0.2159 0.5000
0.7093 0.9257 0.5000
0.7841 0.4310 0.5000
0.8759 0.8759 0.0000
0.9257 0.7093 0.5000
0.0000 0.5000 0.5000
0.4435 0.5565 0.5000
0.5000 0.0000 0.5000
0.5565 0.4435 0.5000

| no. | formation enthalpy at 0 K (eV per atom) |
| --- | --- |
| 1 | -0.104 |
| 2 | -0.333 |